# 1
Material: Ho13Zn58
Method: DFT, PBE-GGA
State: optimized geometry

```
Ho13Zn58
1.0
14.303 0.000 0.000
-7.151 12.387 0.000
0.000 0.000 13.974
Ho Zn
26 116
Direct
0.000 0.000 0.000
0.000 0.000 0.500
0.088 0.544 0.250
0.128 0.256 0.250
0.128 0.872 0.250
0.206 0.412 0.552
0.206 0.412 0.948
0.206 0.794 0.552
0.206 0.794 0.948
0.256 0.128 0.750
0.412 0.206 0.052
0.412 0.206 0.448
0.456 0.544 0.250
0.456 0.912 0.250
0.544 0.088 0.750
0.544 0.456 0.750
0.588 0.794 0.552
0.588 0.794 0.948
0.744 0.872 0.250
0.794 0.206 0.052
0.794 0.206 0.448
0.794 0.588 0.052
0.794 0.588 0.448
0.872 0.128 0.750
0.872 0.744 0.750
0.912 0.456 0.750
0.000 0.000 0.250
0.000 0.000 0.750
0.000 0.201 0.000
0.000 0.201 0.500
0.000 0.500 0.000
0.000 0.500 0.500
0.000 0.799 0.000
0.000 0.799 0.500
0.036 0.366 0.103
0.036 0.366 0.397
0.036 0.671 0.103
0.036 0.671 0.397
0.084 0.365 0.750
0.084 0.719 0.750
0.095 0.190 0.657
0.095 0.190 0.843
0.095 0.905 0.657
0.095 0.905 0.843
0.126 0.563 0.642
0.126 0.563 0.858
0.190 0.095 0.157
0.190 0.095 0.343
0.201 0.000 0.000
0.201 0.000 0.500
0.201 0.201 0.000
0.201 0.201 0.500
0.203 0.601 0.051
0.203 0.601 0.449
0.236 0.472 0.157
0.236 0.472 0.343
0.236 0.764 0.157
0.236 0.764 0.343
0.270 0.539 0.750
0.270 0.730 0.750
0.281 0.365 0.750
0.281 0.916 0.750
0.329 0.366 0.103
0.329 0.366 0.397
0.329 0.964 0.103
0.329 0.964 0.397
0.333 0.667 0.250
0.333 0.667 0.596
0.333 0.667 0.904
0.365 0.084 0.250
0.365 0.281 0.250
0.366 0.036 0.603
0.366 0.036 0.897
0.366 0.329 0.603
0.366 0.329 0.897
0.399 0.601 0.051
0.399 0.601 0.449
0.399 0.797 0.051
0.399 0.797 0.449
0.437 0.563 0.642
0.437 0.563 0.858
0.437 0.874 0.642
0.437 0.874 0.858
0.461 0.730 0.750
0.472 0.236 0.657
0.472 0.236 0.843
0.500 0.000 0.000
0.500 0.000 0.500
0.500 0.500 0.000
0.500 0.500 0.500
0.528 0.764 0.157
0.528 0.764 0.343
0.539 0.270 0.250
0.563 0.126 0.142
0.563 0.126 0.358
0.563 0.437 0.142
0.563 0.437 0.358
0.601 0.203 0.551
0.601 0.203 0.949
0.601 0.399 0.551
0.601 0.399 0.949
0.634 0.671 0.103
0.634 0.671 0.397
0.634 0.964 0.103
0.634 0.964 0.397
0.635 0.719 0.750
0.635 0.916 0.750
0.667 0.333 0.096
0.667 0.333 0.404
0.667 0.333 0.750
0.671 0.036 0.603
0.671 0.036 0.897
0.671 0.634 0.603
0.671 0.634 0.897
0.719 0.084 0.250
0.719 0.635 0.250
0.730 0.270 0.250
0.730 0.461 0.250
0.764 0.236 0.657
0.764 0.236 0.843
0.764 0.528 0.657
0.764 0.528 0.843
0.797 0.399 0.551
0.797 0.399 0.949
0.799 0.000 0.000
0.799 0.000 0.500
0.799 0.799 0.000
0.799 0.799 0.500
0.810 0.905 0.657
0.810 0.905 0.843
0.874 0.437 0.142
0.874 0.437 0.358
0.905 0.095 0.157
0.905 0.095 0.343
0.905 0.810 0.157
0.905 0.810 0.343
0.916 0.281 0.250
0.916 0.635 0.250
0.964 0.329 0.603
0.964 0.329 0.897
0.964 0.634 0.603
0.964 0.634 0.897
```



# 2
Material: Ca5In2Sb6
Method: DFT, PBE-GGA
State: optimized geometry

```
Ca5In2Sb6
1.0
12.243 0.000 0.000
0.000 14.434 0.000
0.000 0.000 4.619
Ca In Sb
10 4 12
Direct
0.000 0.000 0.000
0.091 0.248 0.000
0.178 0.515 0.000
0.322 0.015 0.000
0.409 0.748 0.000
0.500 0.500 0.000
0.591 0.252 0.000
0.678 0.985 0.000
0.822 0.485 0.000
0.909 0.752 0.000
0.163 0.713 0.500
0.337 0.213 0.500
0.663 0.787 0.500
0.837 0.287 0.500
0.037 0.404 0.500
0.150 0.093 0.500
0.162 0.830 0.000
0.338 0.330 0.000
0.350 0.593 0.500
0.463 0.904 0.500
0.537 0.096 0.500
0.650 0.407 0.500
0.662 0.670 0.000
0.838 0.170 0.000
0.850 0.907 0.500
0.963 0.596 0.500
```



# 3
Material: Dy4Rh
Method: DFT, PBE-GGA
State: optimized geometry

```
Dy4Rh
1.0
0.000 5.366 5.366
5.366 0.000 5.366
5.366 5.366 0.000
Dy Rh
8 2
Direct
0.207 0.764 0.764
0.236 0.236 0.236
0.236 0.236 0.793
0.236 0.793 0.236
0.764 0.207 0.764
0.764 0.764 0.207
0.764 0.764 0.764
0.793 0.236 0.236
0.375 0.375 0.375
0.625 0.625 0.625
```



# 4
Material: UCr2Si2
Method: DFT, PBE-GGA
State: optimized geometry

```
UCr2Si2
1.0
-1.963 1.963 5.097
1.963 -1.963 5.097
1.963 1.963 -5.097
U Cr Si
1 2 2
Direct
0.000 0.000 0.000
0.250 0.750 0.500
0.750 0.250 0.500
0.384 0.384 0.000
0.616 0.616 0.000
```



Summary of energy relative to the elements in eV/atom
-0.3213; -0.8350; 0.0793; -0.2014
(order as listed above)